A relaxed KAlSi3O9 crystal, computed with PBE-GGA.

Lattice parameters (Å, degrees): 5.3747 5.3747 7.9442 90.00 90.00 120.00
Sites, in units of the cell vectors:
K: 0.0000 0.0000 0.0000
Al: 0.3333 0.6667 0.2427
Si: 0.3333 0.6667 0.6597
Si: 0.6667 0.3333 0.2385
Si: 0.6667 0.3333 0.6544
O: 0.0000 0.0000 0.4525
O: 0.3333 0.6667 0.4602
O: 0.5010 0.0020 0.7309
O: 0.5010 0.4990 0.7309
O: 0.5059 0.0117 0.1639
O: 0.5059 0.4941 0.1639
O: 0.6667 0.3333 0.4498
O: 0.9883 0.4941 0.1639
O: 0.9980 0.4990 0.7309

- DFT total energy: -7.09 eV per atom
- Total magnetization: 2.0 Bohr magnetons per cell
- SG: P3m1, No. 156
- Calculated formation energy: -2837 meV per atom